1.
VASP calculation (PBE) on crystalline Na14Ca6Ti2Si5S7O48 at its relaxed geometry.

a = 18.8082 Å, b = 9.4146 Å, c = 22.8108 Å
α = 89.86°, β = 90.39°, γ = 120.14°
Fractional positions:
Na: 0.8108 0.0054 0.2455
Na: 0.6859 0.3441 0.2390
Na: 0.4991 0.6512 0.2420
Na: 0.3053 0.6121 0.7438
Na: 0.0033 0.3627 0.7386
Na: 0.1757 0.0098 0.7348
Na: 0.1500 0.3142 0.5754
Na: 0.6799 0.3712 0.5900
Na: 0.0117 0.6918 0.5712
Na: 0.5118 0.6627 0.6016
Na: 0.3242 0.9959 0.5905
Na: 0.8314 0.9797 0.6036
Na: 0.1771 0.9872 0.0832
Na: 0.6586 0.9960 0.0666
Na: 0.3222 0.6737 0.0982
Na: 0.8296 0.6600 0.0827
Na: 0.0134 0.3631 0.0958
Na: 0.5094 0.3229 0.0651
Na: 0.4902 0.6705 0.9168
Na: 0.9766 0.6623 0.9114
Na: 0.3591 0.0524 0.9234
Na: 0.8454 0.0402 0.9053
Na: 0.1670 0.2948 0.9118
Na: 0.6600 0.2875 0.9235
Na: 0.4798 0.2935 0.4252
Na: 0.9915 0.3115 0.4255
Na: 0.1524 0.0222 0.4312
Na: 0.6676 0.0400 0.4203
Na: 0.3431 0.6548 0.4152
Na: 0.8604 0.6731 0.4235
Na: 0.0016 0.9796 0.5046
Na: 0.5132 0.0232 0.5099
Na: 0.0110 0.0000 0.0008
Na: 0.5043 0.0251 0.9916
Na: 0.3387 0.3335 0.8299
Na: 0.8266 0.3339 0.8241
Na: 0.3091 0.3138 0.3302
Na: 0.8425 0.3436 0.3320
Na: 0.1702 0.6784 0.1597
Na: 0.6644 0.6584 0.1634
Na: 0.1577 0.6699 0.6655
Na: 0.6743 0.6674 0.6615
Ca: 0.0044 0.0025 0.3498
Ca: 0.5024 0.0004 0.3430
Ca: 0.0011 0.9941 0.8386
Ca: 0.5048 0.0074 0.8481
Ca: 0.3375 0.3308 0.6817
Ca: 0.8295 0.3374 0.6822
Ca: 0.3255 0.3214 0.1818
Ca: 0.8382 0.3442 0.1814
Ca: 0.3315 0.3192 0.9909
Ca: 0.8302 0.3412 0.9873
Ca: 0.3276 0.3188 0.4900
Ca: 0.8313 0.3472 0.4944
Ca: 0.1669 0.6665 0.0170
Ca: 0.6643 0.6632 0.0147
Ca: 0.1654 0.6670 0.5157
Ca: 0.6678 0.6704 0.5196
Ca: 0.6647 0.6735 0.3130
Ca: 0.1616 0.6580 0.8104
Ti: 0.0069 0.9762 0.6551
Ti: 0.5116 0.0290 0.6484
Ti: 0.0119 0.9966 0.1471
Ti: 0.5070 0.0155 0.1477
Ti: 0.1570 0.6402 0.3219
Ti: 0.6594 0.6784 0.8224
Si: 0.6492 0.9971 0.2513
Si: 0.1498 0.2979 0.7516
Si: 0.9995 0.6877 0.7558
Si: 0.4864 0.3272 0.5784
Si: 0.1765 0.0173 0.5865
Si: 0.6784 0.0284 0.5800
Si: 0.8411 0.6592 0.5815
Si: 0.9864 0.6457 0.0780
Si: 0.3399 0.0257 0.0822
Si: 0.1794 0.3308 0.0800
Si: 0.6778 0.3361 0.0875
Si: 0.5147 0.3720 0.9153
Si: 0.6697 0.9752 0.9206
Si: 0.1692 0.3659 0.4213
Si: 0.0140 0.6567 0.4163
S: 0.1473 0.9820 0.2507
S: 0.3442 0.6942 0.2526
S: 0.8509 0.7120 0.2486
S: 0.0066 0.3072 0.2519
S: 0.5026 0.3009 0.2483
S: 0.6472 0.3138 0.7503
S: 0.5066 0.7050 0.7527
S: 0.3534 0.9915 0.7488
S: 0.8392 0.9844 0.7538
S: 0.9876 0.3226 0.5858
S: 0.3434 0.6588 0.5868
S: 0.4883 0.6548 0.0898
S: 0.8420 0.0262 0.0886
S: 0.3181 0.6619 0.9158
S: 0.8113 0.6693 0.9136
S: 0.0112 0.3560 0.9176
S: 0.1681 0.9732 0.9158
S: 0.3109 0.9566 0.4107
S: 0.8171 0.9766 0.4139
S: 0.6661 0.3647 0.4132
S: 0.5104 0.6611 0.4146
O: 0.1077 0.9881 0.3052
O: 0.6124 0.0064 0.3146
O: 0.3886 0.7760 0.3081
O: 0.8876 0.7914 0.3052
O: 0.4939 0.2196 0.3056
O: 0.9997 0.2165 0.3064
O: 0.1128 0.2181 0.8154
O: 0.6089 0.2294 0.8056
O: 0.4989 0.7796 0.8076
O: 0.9936 0.7627 0.8182
O: 0.3909 0.9929 0.8060
O: 0.8853 0.9997 0.8092
O: 0.4072 0.9925 0.6996
O: 0.8843 0.9722 0.7022
O: 0.0827 0.1654 0.7000
O: 0.5919 0.2069 0.6993
O: 0.9979 0.8167 0.7024
O: 0.5146 0.8093 0.7005
O: 0.3911 0.7945 0.2007
O: 0.9031 0.8165 0.1987
O: 0.0139 0.2200 0.1993
O: 0.4985 0.1904 0.1995
O: 0.0946 0.9814 0.1986
O: 0.5813 0.9969 0.1997
O: 0.4408 0.3852 0.6241
O: 0.9454 0.3371 0.6380
O: 0.2389 0.1132 0.6403
O: 0.7528 0.1220 0.6257
O: 0.3307 0.5558 0.6392
O: 0.8181 0.5065 0.6256
O: 0.4489 0.5601 0.1434
O: 0.9408 0.4991 0.1250
O: 0.3210 0.1327 0.1283
O: 0.8299 0.1011 0.1419
O: 0.2518 0.3859 0.1280
O: 0.7359 0.3621 0.1435
O: 0.1998 0.2643 0.0197
O: 0.7102 0.2896 0.0279
O: 0.4396 0.5708 0.0366
O: 0.9321 0.6049 0.0174
O: 0.3694 0.1295 0.0201
O: 0.8513 0.1264 0.0358
O: 0.2087 0.1231 0.5252
O: 0.6960 0.1309 0.5182
O: 0.3534 0.5812 0.5330
O: 0.8675 0.6099 0.5188
O: 0.4321 0.2622 0.5176
O: 0.9415 0.3148 0.5310
O: 0.2767 0.6757 0.9685
O: 0.7756 0.6723 0.9709
O: 0.0593 0.4390 0.9710
O: 0.5618 0.4509 0.9763
O: 0.1697 0.8889 0.9702
O: 0.6675 0.8838 0.9811
O: 0.2770 0.8757 0.4674
O: 0.7727 0.8724 0.4644
O: 0.1680 0.4523 0.4817
O: 0.6666 0.4587 0.4649
O: 0.0639 0.6780 0.4762
O: 0.5630 0.6761 0.4651
O: 0.0794 0.6540 0.3609
O: 0.5500 0.6552 0.3587
O: 0.2577 0.8505 0.3608
O: 0.7728 0.8959 0.3579
O: 0.1691 0.4961 0.3649
O: 0.6656 0.4499 0.3580
O: 0.0548 0.4484 0.8643
O: 0.5811 0.5059 0.8615
O: 0.1686 0.8809 0.8635
O: 0.6690 0.8442 0.8656
O: 0.2715 0.6539 0.8616
O: 0.7572 0.6687 0.8643
O: 0.0042 0.8183 0.4092
O: 0.4966 0.8060 0.4155
O: 0.3960 0.9813 0.4062
O: 0.9021 0.0001 0.4135
O: 0.0859 0.1880 0.4157
O: 0.5885 0.1973 0.4162
O: 0.9969 0.1835 0.9170
O: 0.5054 0.1905 0.9097
O: 0.0924 0.9896 0.9176
O: 0.5860 0.9858 0.9158
O: 0.4034 0.8095 0.9145
O: 0.8946 0.8187 0.9104
O: 0.4864 0.1496 0.6008
O: 0.9925 0.1682 0.5885
O: 0.0835 0.0001 0.5967
O: 0.5882 0.0249 0.6036
O: 0.4229 0.8225 0.5939
O: 0.9219 0.8419 0.6004
O: 0.4926 0.8211 0.0921
O: 0.9886 0.8255 0.1009
O: 0.4206 0.0026 0.1035
O: 0.9211 0.0196 0.0946
O: 0.0882 0.1551 0.1028
O: 0.5826 0.1635 0.0968
O: 0.3406 0.1342 0.7455
O: 0.8313 0.1332 0.7492
O: 0.2425 0.3210 0.7466
O: 0.7282 0.3271 0.7449
O: 0.4319 0.5407 0.7467
O: 0.9267 0.4976 0.7488
O: 0.3419 0.5322 0.2510
O: 0.8395 0.5442 0.2475
O: 0.4382 0.3469 0.2425
O: 0.9313 0.3208 0.2468
O: 0.2295 0.1319 0.2473
O: 0.7419 0.1570 0.2456
O: 0.3245 0.5097 0.9186
O: 0.8165 0.5162 0.9083
O: 0.4280 0.3715 0.9085
O: 0.9290 0.3470 0.9190
O: 0.2438 0.1416 0.9131
O: 0.7543 0.1506 0.9109
O: 0.3153 0.1196 0.4072
O: 0.8221 0.1397 0.4178
O: 0.2546 0.3634 0.4116
O: 0.7405 0.3458 0.4126
O: 0.4287 0.5064 0.4181
O: 0.9279 0.4829 0.4101
O: 0.1527 0.4697 0.0784
O: 0.6609 0.4895 0.0853
O: 0.0827 0.7012 0.0765
O: 0.5739 0.6857 0.0867
O: 0.2617 0.8396 0.0802
O: 0.7721 0.8545 0.0833
O: 0.1631 0.8321 0.5855
O: 0.6481 0.8337 0.5786
O: 0.2741 0.6914 0.5817
O: 0.7632 0.6908 0.5807
O: 0.0729 0.4674 0.5848
O: 0.5835 0.4603 0.5766
O: 0.1533 0.8303 0.2471
O: 0.6493 0.8231 0.2414
O: 0.2597 0.6726 0.2527
O: 0.7678 0.6997 0.2418
O: 0.0827 0.4773 0.2550
O: 0.5857 0.4548 0.2444
O: 0.1539 0.4754 0.7413
O: 0.6521 0.4762 0.7465
O: 0.0906 0.7092 0.7443
O: 0.5830 0.6888 0.7562
O: 0.2726 0.8350 0.7422
O: 0.7551 0.8304 0.7567

Values from the calculation:
Volume   14.2 Å³/atom
Corrected total energy (MP2020 scheme)   -6.7540 eV/atom
Density   2.6 g/cm³
Formation enthalpy at 0 K   -2.6086 eV per atom
Symmetry   No. 1



2.
VASP calculation (PBE) on crystalline Cs2Sn3HgSe8 at its relaxed geometry.

a = 8.2589 Å, b = 13.5357 Å, c = 18.9719 Å
α = 90.00°, β = 90.00°, γ = 90.00°
Fractional positions:
Cs: 0.7486 0.6269 0.0493
Cs: 0.7514 0.3731 0.5493
Cs: 0.2486 0.8731 0.9507
Cs: 0.2514 0.1269 0.4507
Cs: 0.2390 0.8113 0.3400
Cs: 0.2610 0.1887 0.8400
Cs: 0.7390 0.6887 0.6600
Cs: 0.7610 0.3113 0.1600
Sn: 0.7618 0.0498 0.3227
Sn: 0.7382 0.9502 0.8227
Sn: 0.2618 0.4502 0.6773
Sn: 0.2382 0.5498 0.1773
Sn: 0.7325 0.9313 0.4847
Sn: 0.7675 0.0687 0.9847
Sn: 0.2325 0.5687 0.5153
Sn: 0.2675 0.4313 0.0153
Sn: 0.5147 0.9799 0.1531
Sn: 0.9853 0.0201 0.6531
Sn: 0.0147 0.5201 0.8469
Sn: 0.4853 0.4799 0.3469
Hg: 0.9845 0.5016 0.3472
Hg: 0.5155 0.4984 0.8472
Hg: 0.4845 0.9984 0.6528
Hg: 0.0155 0.0016 0.1528
Se: 0.9815 0.6170 0.2291
Se: 0.5185 0.3830 0.7291
Se: 0.4815 0.8830 0.7709
Se: 0.0185 0.1170 0.2709
Se: 0.9742 0.6269 0.4589
Se: 0.5258 0.3731 0.9589
Se: 0.4742 0.8731 0.5411
Se: 0.0258 0.1269 0.0411
Se: 0.7641 0.8725 0.1588
Se: 0.7359 0.1275 0.6588
Se: 0.2641 0.6275 0.8412
Se: 0.2359 0.3725 0.3412
Se: 0.7661 0.6294 0.8520
Se: 0.7339 0.3706 0.3520
Se: 0.2661 0.8706 0.1480
Se: 0.2339 0.1294 0.6480
Se: 0.7590 0.8635 0.3568
Se: 0.7410 0.1365 0.8568
Se: 0.2590 0.6365 0.6432
Se: 0.2410 0.3635 0.1432
Se: 0.7341 0.1183 0.4514
Se: 0.7659 0.8817 0.9514
Se: 0.2341 0.3817 0.5486
Se: 0.2659 0.6183 0.0486
Se: 0.5041 0.6002 0.2386
Se: 0.9959 0.3998 0.7386
Se: 0.0041 0.8998 0.7614
Se: 0.4959 0.1002 0.2614
Se: 0.4973 0.6107 0.4491
Se: 0.0027 0.3893 0.9491
Se: 0.9973 0.8893 0.5509
Se: 0.5027 0.1107 0.0509

Values from the calculation:
Volume   37.9 Å³/atom
Corrected total energy (MP2020 scheme)   -3.8787 eV/atom
Density   4.6 g/cm³
Formation enthalpy at 0 K   -0.8722 eV per atom
Symmetry   No. 19